Entry 1:
A geometry-optimized SrLiVPO6 structure. Source: the Materials Project database, functional PBE+U.

Lattice parameters (Å, degrees): 10.8401 5.4208 8.3672 89.76 90.00 90.00
Last column: nearest neighbours and their distance in Å.
Fractional positions:
Sr 0.2723 0.3190 0.1130  4 O 2.39-2.64
Sr 0.2277 0.3190 0.6130  4 O 2.39-2.64
Sr 0.7723 0.6810 0.3870  4 O 2.39-2.64
Sr 0.7277 0.6810 0.8870  4 O 2.39-2.64
Li 0.9833 0.3136 0.3737  4 O 1.94-2.03
Li 0.5167 0.3136 0.8737  4 O 1.94-2.03
Li 0.4833 0.6864 0.1263  4 O 1.94-2.03
Li 0.0167 0.6864 0.6263  4 O 1.94-2.03
V 0.9102 0.1401 0.0818  3 O 1.74-1.91
V 0.5898 0.1401 0.5818  3 O 1.74-1.91
V 0.4102 0.8599 0.4182  3 O 1.74-1.91
V 0.0898 0.8599 0.9182  3 O 1.74-1.91
P 0.6089 0.1757 0.1981  4 O 1.55-1.58
P 0.8911 0.1757 0.6981  4 O 1.55-1.58
P 0.1089 0.8243 0.3019  4 O 1.55-1.58
P 0.3911 0.8243 0.8019  4 O 1.55-1.58
O 0.8737 0.3943 0.1980  1 V 1.74, 1 Li 1.94
O 0.6263 0.3943 0.6980  1 V 1.74, 1 Li 1.94
O 0.5965 0.3967 0.0805  1 P 1.55
O 0.9035 0.3967 0.5805  1 P 1.55
O 0.6450 0.2783 0.3649  1 P 1.55
O 0.8550 0.2783 0.8649  1 P 1.55
O 0.0774 0.1730 0.0210  2 V 1.89-1.91
O 0.4226 0.1730 0.5210  2 V 1.89-1.91
O 0.4807 0.0380 0.2011  1 P 1.58
O 0.0193 0.0380 0.7011  1 P 1.58
O 0.2091 0.0126 0.3606  1 P 1.57
O 0.7091 0.9874 0.1394  1 P 1.57
O 0.2909 0.0126 0.8606  1 P 1.57
O 0.7909 0.9874 0.6394  1 P 1.57
O 0.9807 0.9620 0.2989  1 P 1.58
O 0.5193 0.9620 0.7989  1 P 1.58
O 0.5774 0.8270 0.4790  2 V 1.89-1.91
O 0.9226 0.8270 0.9790  2 V 1.89-1.91
O 0.1450 0.7217 0.1351  1 P 1.55
O 0.3550 0.7217 0.6351  1 P 1.55
O 0.0965 0.6033 0.4195  1 P 1.55
O 0.4035 0.6033 0.9195  1 P 1.55
O 0.3737 0.6057 0.3020  1 V 1.74, 1 Li 1.94
O 0.1263 0.6057 0.8020  1 V 1.74, 1 Li 1.94

The formation energy is -28.43 eV/f.u. Its space-group type is P2_1/c (14). The calculation puts the calculated volume at 12.3 A^3/atom.

Entry 2:
A geometry-optimized Li5Ti3V2P6O24 structure. Source: the Materials Project database, functional PBE+U.

Lattice parameters (Å, degrees): 8.5006 8.9475 8.9574 59.79 58.72 58.55
Last column: nearest neighbours and their distance in Å.
Fractional positions:
Li 0.5238 0.1612 0.1573  3 O 1.97-2.01
Li 0.2536 0.8575 0.6430  4 O 2.10-2.24
Li 0.7152 0.1467 0.3331  2 O 1.91-2.04
Li 0.7158 0.8052 0.1450  2 O 1.91-2.05
Li 0.7143 0.3358 0.8056  2 O 1.92-2.02
Ti 0.0689 0.6415 0.6444  6 O 1.97-2.08
Ti 0.4390 0.8521 0.8575  6 O 1.95-2.12
Ti 0.9523 0.3500 0.3473  6 O 1.97-2.18
V 0.9978 0.0011 0.0048  6 O 2.18-2.23
V 0.4933 0.4985 0.5010  6 O 2.18-2.27
P 0.2564 0.2476 0.5511  4 O 1.52-1.58
P 0.2585 0.9459 0.2436  4 O 1.52-1.58
P 0.2571 0.5515 0.9452  4 O 1.51-1.59
P 0.7555 0.4525 0.0456  4 O 1.53-1.58
P 0.7629 0.0447 0.7453  4 O 1.53-1.58
P 0.7451 0.7482 0.4544  4 O 1.53-1.58
O 0.0730 0.1069 0.3084  1 P 1.56
O 0.0705 0.5140 0.1033  1 P 1.54
O 0.0707 0.3134 0.5086  1 P 1.55
O 0.2285 0.0867 0.7416  1 P 1.58
O 0.4464 0.1848 0.4000  1 P 1.52
O 0.2639 0.4022 0.5795  1 P 1.56
O 0.2304 0.9287 0.0943  1 P 1.56
O 0.2674 0.7583 0.4092  1 P 1.58
O 0.5675 0.6096 0.0064  1 P 1.55
O 0.2717 0.5815 0.7487  1 P 1.59
O 0.7814 0.2635 0.0545  1 P 1.55
O 0.5857 0.9976 0.8047  1 P 1.53
O 0.4492 0.9719 0.1801  1 P 1.52
O 0.2262 0.7504 0.9241  1 P 1.58
O 0.7295 0.4270 0.2439  1 P 1.58
O 0.4475 0.4002 0.9706  1 P 1.51
O 0.7344 0.2426 0.5949  1 P 1.58
O 0.7793 0.0600 0.9020  1 P 1.56
O 0.7316 0.5975 0.4217  1 P 1.58
O 0.5479 0.8093 0.6070  1 P 1.55
O 0.7768 0.9035 0.2655  1 P 1.56
O 0.9180 0.6752 0.5146  1 P 1.53
O 0.9356 0.5035 0.8955  1 P 1.53
O 0.9572 0.8949 0.6737  1 P 1.55

The formation energy is -110.15 eV/f.u. Its space-group type is P1 (1). The calculation puts the calculated volume at 11.8 A^3/atom.

Entry 3:
A geometry-optimized Li5V3P8O29 structure. Source: the Materials Project database, functional PBE+U.

Lattice parameters (Å, degrees): 9.7962 9.8581 14.0816 89.82 89.77 60.25
Last column: nearest neighbours and their distance in Å.
Fractional positions:
Li 0.6864 0.0861 0.4378  3 O 1.91-2.03
Li 0.2300 0.6769 0.4382  3 O 1.88-2.06
Li 0.3465 0.3285 0.1111  1 O 1.88
Li 0.0918 0.6772 0.9416  3 O 1.92-2.10
Li 0.2286 0.0947 0.9420  4 O 1.93-2.14
Li 0.0955 0.2310 0.4371  3 O 1.98-2.07
Li 0.6659 0.6645 0.8921  1 O 1.85
Li 0.7706 0.3206 0.5608  3 O 1.98-2.10
Li 0.3167 0.9092 0.5576  3 O 1.99-2.10
Li 0.9501 0.0338 0.0044  2 O 1.94-2.06
V 0.0016 0.5702 0.7462  6 O 1.83-2.02
V 0.9952 0.4365 0.2474  6 O 1.83-1.98
V 0.5719 0.9983 0.2495  6 O 1.85-2.04
V 0.4324 0.0013 0.7511  6 O 1.82-2.03
V 0.5685 0.4276 0.7560  6 O 1.87-2.03
V 0.4378 0.5653 0.2456  6 O 1.86-2.06
P 0.6912 0.2225 0.1588  4 O 1.47-1.62
P 0.6825 0.0861 0.6579  4 O 1.48-1.60
P 0.2377 0.6798 0.6582  4 O 1.50-1.60
P 0.3263 0.3344 0.8729  4 O 1.50-1.60
P 0.3330 0.3338 0.3708  4 O 1.49-1.60
P 0.0892 0.6837 0.1554  4 O 1.49-1.60
P 0.9171 0.7685 0.3398  4 O 1.48-1.62
P 0.2248 0.0937 0.1580  4 O 1.49-1.61
P 0.7791 0.9111 0.8414  4 O 1.48-1.62
P 0.0858 0.2341 0.6569  4 O 1.50-1.60
P 0.9131 0.3140 0.8406  4 O 1.49-1.63
P 0.6666 0.6629 0.6299  4 O 1.48-1.62
P 0.6688 0.6677 0.1289  4 O 1.49-1.60
P 0.7671 0.3198 0.3426  4 O 1.50-1.60
P 0.3176 0.9135 0.3395  4 O 1.51-1.62
P 0.3132 0.7747 0.8413  4 O 1.48-1.63
O 0.7619 0.2414 0.4332  1 P 1.50
O 0.6642 0.2513 0.6653  1 P 1.55
O 0.8006 0.9895 0.9244  1 P 1.48
O 0.6577 0.0838 0.1676  1 P 1.56
O 0.5261 0.3725 0.1670  1 P 1.56
O 0.4738 0.3308 0.8309  1 P 1.54
O 0.3866 0.5235 0.6798  1 P 1.54
O 0.2112 0.7813 0.9214  1 P 1.48
O 0.2573 0.6536 0.1623  1 P 1.52
O 0.4858 0.1853 0.3341  1 P 1.57
O 0.5218 0.0955 0.6836  1 P 1.57
O 0.3354 0.4819 0.3285  1 P 1.59
O 0.3121 0.3479 0.9792  1 P 1.50
O 0.3209 0.3381 0.4765  1 P 1.49
O 0.1778 0.4862 0.8302  1 P 1.60
O 0.3734 0.1092 0.1692  1 P 1.55
O 0.3201 0.1873 0.8377  1 P 1.56
O 0.0920 0.6565 0.6661  1 P 1.56
O 0.9938 0.7923 0.2436  2 P 1.60-1.62
O 0.0130 0.7554 0.4237  1 P 1.48
O 0.0094 0.7591 0.0650  1 P 1.49
O 0.0992 0.5200 0.1726  1 P 1.59
O 0.1832 0.3334 0.3266  1 P 1.60
O 0.9217 0.7376 0.8351  1 P 1.59
O 0.0975 0.3820 0.6801  1 P 1.55
O 0.2501 0.0858 0.6593  1 P 1.55
O 0.7966 0.9885 0.7438  2 P 1.60-1.62
O 0.7446 0.0109 0.5651  1 P 1.48
O 0.2420 0.0032 0.4291  1 P 1.51
O 0.7498 0.9129 0.3411  1 P 1.55
O 0.9081 0.6171 0.3202  1 P 1.56
O 0.0801 0.2617 0.1699  1 P 1.57
O 0.8176 0.6592 0.6794  1 P 1.62
O 0.9035 0.4755 0.8308  1 P 1.55
O 0.0049 0.2132 0.9215  1 P 1.49
O 0.0006 0.2508 0.5655  1 P 1.50
O 0.9879 0.2175 0.7428  2 P 1.60-1.63
O 0.9163 0.3389 0.3392  1 P 1.56
O 0.6686 0.8114 0.1701  1 P 1.53
O 0.6280 0.8978 0.8326  1 P 1.55
O 0.8179 0.5187 0.1740  1 P 1.60
O 0.6761 0.6571 0.0234  1 P 1.49
O 0.6780 0.6627 0.5248  1 P 1.48
O 0.6712 0.5115 0.6687  1 P 1.57
O 0.4756 0.9075 0.3196  1 P 1.54
O 0.5166 0.8128 0.6693  1 P 1.58
O 0.7409 0.3463 0.8383  1 P 1.55
O 0.7880 0.2071 0.2552  2 P 1.60-1.62
O 0.7889 0.2083 0.0755  1 P 1.47
O 0.6196 0.4776 0.3262  1 P 1.53
O 0.5233 0.6597 0.1704  1 P 1.58
O 0.4779 0.6285 0.8322  1 P 1.55
O 0.3385 0.9197 0.8398  1 P 1.57
O 0.2127 0.0213 0.0682  1 P 1.49
O 0.2088 0.0020 0.2488  2 P 1.61-1.62
O 0.3365 0.7495 0.3395  1 P 1.53
O 0.2458 0.7519 0.5662  1 P 1.50
O 0.2182 0.7963 0.7426  2 P 1.60-1.63

As for the distance to the lowest polymorph of the same formula: 0.4 kJ/mol of atoms. The formation energy is -117.74 eV/f.u. Its space-group type is P1 (1). The calculation puts the calculated volume at 13.1 A^3/atom.